Record 1
Ba2Li3P7O21 | PBE-GGA | relaxed

Output
Calculated formation energy = -9089.3 kJ/mol of formula units
Total energy = -924.6 eV/cell
Crystal system = monoclinic

abc: 8.714 11.792 18.251
angles: 75.58 90.00 90.00
Fractional coordinates of all 132 atoms:
O1 0.951 0.069 0.062
O2 0.849 0.355 0.256
O3 0.452 0.271 0.680
O4 0.213 0.059 0.302
O5 0.342 0.578 0.947
O6 0.002 0.221 0.679
O7 0.482 0.257 0.033
O8 0.195 0.109 0.612
O9 0.299 0.876 0.566
O10 0.658 0.422 0.053
O11 0.436 0.236 0.824
O12 0.842 0.422 0.553
O13 0.315 0.176 0.389
O14 0.498 0.221 0.179
O15 0.633 0.372 0.924
O16 0.505 0.739 0.535
O17 0.983 0.317 0.822
O18 0.158 0.578 0.447
O19 0.952 0.729 0.820
O20 0.502 0.779 0.821
O21 0.483 0.683 0.678
O22 0.218 0.331 0.601
O23 0.136 0.869 0.740
O24 0.799 0.124 0.934
O25 0.049 0.931 0.938
O26 0.701 0.124 0.434
O27 0.734 0.234 0.538
O28 0.005 0.261 0.965
O29 0.815 0.824 0.111
O30 0.367 0.628 0.076
O31 0.201 0.876 0.066
O32 0.451 0.931 0.438
O33 0.555 0.544 0.429
O34 0.695 0.891 0.888
O35 0.048 0.271 0.180
O36 0.082 0.051 0.432
O37 0.998 0.779 0.321
O38 0.549 0.069 0.562
O39 0.418 0.051 0.932
O40 0.133 0.628 0.576
O41 0.864 0.131 0.260
O42 0.782 0.669 0.399
O43 0.651 0.355 0.756
O44 0.495 0.261 0.465
O45 0.064 0.236 0.324
O46 0.296 0.450 0.695
O47 0.204 0.450 0.195
O48 0.945 0.544 0.929
O49 0.564 0.764 0.176
O50 0.018 0.257 0.533
O51 0.287 0.059 0.802
O52 0.548 0.729 0.320
O53 0.582 0.949 0.068
O54 0.867 0.372 0.424
O55 0.445 0.456 0.571
O56 0.796 0.550 0.805
O57 0.982 0.743 0.467
O58 0.517 0.317 0.322
O59 0.266 0.766 0.462
O60 0.207 0.391 0.891
O61 0.787 0.941 0.698
O62 0.185 0.176 0.889
O63 0.707 0.609 0.609
O64 0.766 0.234 0.038
O65 0.017 0.683 0.178
O66 0.151 0.645 0.744
O67 0.518 0.743 0.967
O68 0.713 0.941 0.198
O69 0.805 0.891 0.388
O70 0.995 0.739 0.035
O71 0.636 0.131 0.760
O72 0.055 0.456 0.071
O73 0.305 0.109 0.112
O74 0.918 0.949 0.568
O75 0.718 0.669 0.899
O76 0.936 0.764 0.676
O77 0.293 0.391 0.391
O78 0.704 0.550 0.305
O79 0.793 0.609 0.109
O80 0.349 0.645 0.244
O81 0.234 0.766 0.962
O82 0.282 0.331 0.101
O83 0.364 0.869 0.240
O84 0.685 0.824 0.611
Li1 0.147 0.484 0.965
Li2 0.353 0.484 0.465
Li3 0.365 0.001 0.045
Li4 0.275 0.636 0.655
Li5 0.853 0.516 0.035
Li6 0.635 0.999 0.955
Li7 0.647 0.516 0.535
Li8 0.135 0.001 0.545
Li9 0.225 0.636 0.155
Li10 0.865 0.999 0.455
Li11 0.775 0.364 0.845
Li12 0.725 0.364 0.345
P1 0.060 0.754 0.744
P2 0.857 0.613 0.862
P3 0.164 0.118 0.362
P4 0.106 0.217 0.614
P5 0.621 0.157 0.499
P6 0.336 0.118 0.862
P7 0.863 0.331 0.509
P8 0.643 0.613 0.362
P9 0.637 0.331 0.009
P10 0.560 0.246 0.756
P11 0.879 0.157 0.999
P12 0.379 0.843 0.501
P13 0.357 0.387 0.638
P14 0.664 0.882 0.138
P15 0.606 0.783 0.886
P16 0.394 0.217 0.114
P17 0.121 0.843 0.001
P18 0.940 0.246 0.256
P19 0.403 0.296 0.386
P20 0.137 0.669 0.491
P21 0.143 0.387 0.138
P22 0.440 0.754 0.244
P23 0.597 0.704 0.614
P24 0.097 0.296 0.886
P25 0.894 0.783 0.386
P26 0.836 0.882 0.638
P27 0.363 0.669 0.991
P28 0.903 0.704 0.114
Ba1 0.056 0.527 0.319
Ba2 0.068 0.965 0.196
Ba3 0.432 0.965 0.696
Ba4 0.568 0.035 0.304
Ba5 0.944 0.473 0.681
Ba6 0.556 0.473 0.181
Ba7 0.444 0.527 0.819
Ba8 0.932 0.035 0.804

Record 2
Rb2LaAuCl6 | PBE-GGA | relaxed

Output
Calculated formation energy = -1979.3 kJ/mol of formula units
Total energy = -38.1 eV/cell
Crystal system = cubic

abc: 7.805 7.805 7.805
angles: 60.00 60.00 60.00
Fractional coordinates of all 10 atoms:
Rb1 0.250 0.250 0.250
Rb2 0.750 0.750 0.750
Cl1 0.749 0.251 0.749
Cl2 0.251 0.251 0.749
Cl3 0.749 0.251 0.251
Cl4 0.749 0.749 0.251
Cl5 0.251 0.749 0.749
Cl6 0.251 0.749 0.251
La1 0.000 0.000 0.000
Au1 0.500 0.500 0.500

Record 3
SmCo3 | PBE-GGA | relaxed

Output
Calculated formation energy = -11.3 kJ/mol of formula units
Total energy = -78.5 eV/cell
Crystal system = trigonal

abc: 5.036 5.036 8.746
angles: 73.27 73.27 60.00
Fractional coordinates of all 12 atoms:
Co1 0.500 0.500 0.500
Co2 0.920 0.420 0.240
Co3 0.335 0.335 0.996
Co4 0.580 0.080 0.760
Co5 0.665 0.665 0.004
Co6 0.080 0.580 0.760
Co7 0.420 0.420 0.240
Co8 0.580 0.580 0.760
Co9 0.420 0.920 0.240
Sm1 0.140 0.140 0.581
Sm2 0.860 0.860 0.419
Sm3 0.000 0.000 0.000